No. 1
## TmCrO4 (PBE+U)

Data for a relaxed TmCrO4 crystal.

Calculated values
The calculation puts the energy with MP2020 corrections at -0.3103 hartree per atom. Its density is 6.0 Mg/m³. The calculated formation energy is -16.74 eV per formula unit. Its energy is -7.653 eV/atom.

Cell: 7.1187 7.1187 6.2332 Å, 90.00 90.00 90.00°
Last column: nearest neighbours and their distance in Å.
Space group I4_1/amd (No. 141, origin choice 2)
Inequivalent atoms, fractional coordinates:
Tm (0.0000, 0.2500, 0.3750)  8 O 2.28-2.41
Cr (0.0000, 0.2500, 0.8750)  4 O 1.72
O (0.0000, 0.0642, 0.6979)  1 Cr 1.72

=====

No. 2
## MgFe3Ni2SbP6O24 (PBE+U)

Data for a relaxed MgFe3Ni2SbP6O24 crystal.

Calculated values
The calculation puts the energy with MP2020 corrections at -0.2759 hartree per atom. Its density is 3.6 Mg/m³. The calculated formation energy is -83.82 eV per formula unit. Its energy is -6.741 eV/atom.

Cell: 8.6970 8.6970 21.3103 Å, 90.00 90.00 120.00°
Last column: nearest neighbours and their distance in Å.
Space group R3 (No. 146, hexagonal axes)
Inequivalent atoms, fractional coordinates:
Mg (0.0000, 0.0000, 0.0000)  6 O 2.08-2.09
Fe (0.0000, 0.0000, 0.1219)  6 O 2.08-2.16
Fe (0.0000, 0.0000, 0.6024)  6 O 1.94-2.10
Fe (0.0000, 0.0000, 0.8773)  6 O 2.07-2.21
Ni (0.0000, 0.0000, 0.2505)  6 O 2.13-2.24
Ni (0.0000, 0.0000, 0.7443)  6 O 2.15-2.19
Sb (0.0000, 0.0000, 0.3964)  6 O 1.95-2.04
P (0.0031, 0.7090, 0.5013)  4 O 1.52-1.59
P (0.0355, 0.3641, 0.6678)  4 O 1.53-1.61
O (0.0015, 0.1726, 0.6716)  1 P 1.54
O (0.0088, 0.1994, 0.9435)  1 P 1.53
O (0.0270, 0.8307, 0.1844)  1 P 1.55
O (0.0474, 0.8374, 0.5556)  1 P 1.52
O (0.1444, 0.4698, 0.7248)  1 P 1.53
O (0.1604, 0.6849, 0.4814)  1 P 1.54
O (0.1608, 0.7080, 0.1074)  1 P 1.59
O (0.1703, 0.4919, 0.9966)  1 P 1.61

=====

No. 3
## MgFe4Co2O12 (PBE+U)

Data for a relaxed MgFe4Co2O12 crystal.

Calculated values
The calculation puts the energy with MP2020 corrections at -0.2606 hartree per atom. Its density is 4.2 Mg/m³. The calculated formation energy is -25.65 eV per formula unit. Its energy is -6.010 eV/atom.

Cell: 8.1162 6.2078 8.6509 Å, 90.00 90.32 90.00°
Last column: nearest neighbours and their distance in Å.
Space group Cm (No. 8)
Inequivalent atoms, fractional coordinates:
Mg (0.0000, 0.0000, 0.0000)  4 O 1.91-1.99
Fe (0.2033, 0.5000, 0.3332)  4 O 1.83-1.93
Fe (0.2046, 0.5000, 0.6635)  4 O 1.83-1.93
Fe (0.2904, 0.0000, 0.8190)  5 O 1.88-2.10
Fe (0.2910, 0.0000, 0.1799)  3 O 1.86-1.96
Co (0.1273, 0.0000, 0.4986)  5 O 1.81-1.91
Co (0.1726, 0.5000, 0.9980)  6 O 1.85-1.93
O (0.0196, 0.5000, 0.1597)  1 Fe 1.86, 1 Co 1.88
O (0.0212, 0.5000, 0.8366)  1 Co 1.85, 1 Fe 1.88
O (0.0631, 0.5000, 0.4982)  2 Fe 1.83
O (0.1975, 0.1904, 0.9986)  1 Co 1.93, 1 Mg 1.99, 2 Fe 2.10
O (0.1987, 0.1887, 0.3386)  1 Co 1.91, 2 Fe 1.93-1.96
O (0.1995, 0.1889, 0.6588)  1 Co 1.91, 2 Fe 1.93-1.96
O (0.3337, 0.5000, 0.1560)  1 Fe 1.87, 1 Co 1.89, 1 Mg 1.91
O (0.3353, 0.5000, 0.8410)  1 Fe 1.86, 1 Co 1.90, 1 Mg 1.91
O (0.4039, 0.5000, 0.4986)  1 Co 1.81

=====

No. 4
## Li5Cr2Co3O10 (PBE+U)

Data for a relaxed Li5Cr2Co3O10 crystal.

Calculated values
The calculation puts the energy with MP2020 corrections at -0.2538 hartree per atom. Its density is 4.3 Mg/m³. The calculated formation energy is -38.45 eV per formula unit. Its energy is -6.116 eV/atom.

Cell: 5.1244 7.7889 10.2393 Å, 108.58 99.14 103.59°
Last column: nearest neighbours and their distance in Å.
Space group P-1 (No. 2)
Inequivalent atoms, fractional coordinates:
Li (0.0000, 0.0000, 0.0000)  6 O 2.10-2.21
Li (0.0000, 0.0000, 0.5000)  6 O 2.10-2.22
Li (0.4900, 0.2882, 0.1953)  6 O 2.06-2.18
Li (0.4907, 0.2872, 0.6948)  6 O 2.07-2.19
Li (0.4965, 0.9141, 0.1050)  6 O 2.10-2.24
Li (0.4990, 0.9141, 0.6055)  6 O 2.10-2.23
Cr (0.0007, 0.8042, 0.7040)  6 O 1.98-2.11
Cr (0.0030, 0.1958, 0.7993)  6 O 1.98-2.11
Co (0.0074, 0.6089, 0.8989)  5 O 1.86-2.08
Co (0.0074, 0.6110, 0.4008)  5 O 1.85-2.07
Co (0.5000, 0.5000, 0.0000)  6 O 1.92-2.13
Co (0.5000, 0.5000, 0.5000)  6 O 1.91-2.12
O (0.2246, 0.8325, 0.3934)  1 Co 1.85, 1 Cr 2.04
O (0.2262, 0.8328, 0.8934)  1 Co 1.86, 1 Cr 2.01, 1 Li 2.08
O (0.2303, 0.0473, 0.2035)  2 Cr 1.98, 4 Li 2.06-2.10
O (0.2299, 0.6404, 0.0965)  3 Co 2.05-2.13, 1 Cr 2.11, 2 Li 2.19-2.21
O (0.2312, 0.0470, 0.7042)  2 Cr 1.98, 4 Li 2.07-2.10
O (0.2317, 0.6395, 0.5976)  3 Co 2.05-2.12, 1 Cr 2.11, 2 Li 2.18-2.22
O (0.2403, 0.4477, 0.8021)  1 Cr 2.04, 3 Co 2.07-2.10, 2 Li 2.18
O (0.2402, 0.4494, 0.3030)  1 Cr 2.04, 3 Co 2.07-2.10, 2 Li 2.18
O (0.2561, 0.2687, 0.9955)  2 Co 1.92-2.08, 1 Cr 2.03, 1 Li 2.14
O (0.2567, 0.2690, 0.4945)  2 Co 1.91-2.07, 1 Cr 2.06